Here is a relaxed structure of ZnS from Materials Project. Energies are from GGA-PBE.

Cell: 12.543 13.565 13.695 Å, 90.97 92.74 91.11°
Atoms (fractional coordinates):
Zn 0.000 0.000 0.000
Zn 0.002 0.268 0.577
Zn 0.025 0.702 0.248
Zn 0.072 0.077 0.723
Zn 0.089 0.095 0.476
Zn 0.093 0.267 0.925
Zn 0.109 0.486 0.374
Zn 0.139 0.479 0.063
Zn 0.146 0.812 0.649
Zn 0.159 0.062 0.113
Zn 0.217 0.834 0.025
Zn 0.243 0.521 0.531
Zn 0.293 0.666 0.055
Zn 0.318 0.577 0.375
Zn 0.328 0.213 0.416
Zn 0.355 0.008 0.587
Zn 0.391 0.991 0.308
Zn 0.392 0.712 0.584
Zn 0.400 0.263 0.192
Zn 0.401 0.801 0.967
Zn 0.407 0.012 0.077
Zn 0.416 0.391 0.973
Zn 0.474 0.526 0.862
Zn 0.474 0.788 0.226
Zn 0.478 0.020 0.821
Zn 0.522 0.532 0.212
Zn 0.575 0.585 0.613
Zn 0.577 0.156 0.636
Zn 0.593 0.374 0.878
Zn 0.618 0.718 0.385
Zn 0.647 0.794 0.976
Zn 0.657 0.659 0.765
Zn 0.668 0.144 0.201
Zn 0.673 0.938 0.454
Zn 0.703 0.324 0.153
Zn 0.745 0.920 0.715
Zn 0.753 0.679 0.600
Zn 0.784 0.413 0.684
Zn 0.798 0.214 0.799
Zn 0.804 0.233 0.324
Zn 0.808 0.067 0.042
Zn 0.816 0.533 0.343
Zn 0.840 0.867 0.153
Zn 0.881 0.578 0.896
Zn 0.905 0.881 0.393
Zn 0.972 0.713 0.995
Zn 0.977 0.127 0.134
Zn 0.981 0.714 0.808
Zn 0.985 0.302 0.169
Zn 0.987 0.565 0.566
S 0.000 0.380 0.009
S 0.007 0.927 0.652
S 0.013 0.119 0.871
S 0.049 0.925 0.504
S 0.059 0.851 0.928
S 0.085 0.659 0.685
S 0.091 0.427 0.534
S 0.097 0.645 0.109
S 0.150 0.396 0.235
S 0.156 0.172 0.620
S 0.267 0.934 0.171
S 0.284 0.256 0.928
S 0.286 0.053 0.431
S 0.287 0.517 0.971
S 0.296 0.345 0.306
S 0.302 0.181 0.060
S 0.323 0.851 0.644
S 0.325 0.577 0.677
S 0.349 0.960 0.916
S 0.378 0.637 0.220
S 0.415 0.121 0.703
S 0.453 0.477 0.688
S 0.470 0.315 0.454
S 0.479 0.109 0.218
S 0.485 0.630 0.467
S 0.502 0.869 0.376
S 0.520 0.381 0.134
S 0.520 0.697 0.874
S 0.532 0.863 0.090
S 0.582 0.201 0.468
S 0.638 0.993 0.605
S 0.640 0.148 0.012
S 0.643 0.950 0.865
S 0.645 0.292 0.728
S 0.674 0.614 0.265
S 0.712 0.963 0.222
S 0.722 0.281 0.980
S 0.728 0.507 0.830
S 0.731 0.262 0.477
S 0.769 0.785 0.468
S 0.791 0.038 0.848
S 0.792 0.018 0.352
S 0.799 0.738 0.052
S 0.807 0.521 0.548
S 0.810 0.766 0.746
S 0.846 0.394 0.245
S 0.927 0.313 0.724
S 0.982 0.214 0.411
S 0.984 0.611 0.380
S 0.994 0.865 0.251

Energy of formation in eV per atom: -0.6415
Space-group type: P1
Size of the total moment in μB per formula unit: 0.00

Here is a relaxed structure of ZnS from Materials Project. Energies are from GGA-PBE.

Cell: 12.744 13.631 14.017 Å, 89.64 89.85 89.99°
Atoms (fractional coordinates):
Zn 0.000 0.000 0.000
Zn 0.003 0.064 0.280
Zn 0.014 0.748 0.273
Zn 0.015 0.019 0.752
Zn 0.017 0.400 0.733
Zn 0.023 0.976 0.512
Zn 0.092 0.511 0.624
Zn 0.100 0.191 0.396
Zn 0.135 0.423 0.260
Zn 0.170 0.355 0.914
Zn 0.174 0.599 0.055
Zn 0.191 0.816 0.859
Zn 0.215 0.168 0.105
Zn 0.242 0.108 0.830
Zn 0.270 0.582 0.468
Zn 0.281 0.046 0.388
Zn 0.301 0.782 0.242
Zn 0.315 0.715 0.630
Zn 0.323 0.313 0.435
Zn 0.338 0.464 0.683
Zn 0.356 0.378 0.185
Zn 0.421 0.456 0.924
Zn 0.446 0.672 0.801
Zn 0.454 0.277 0.975
Zn 0.469 0.218 0.730
Zn 0.484 0.990 0.243
Zn 0.494 0.953 0.771
Zn 0.507 0.583 0.094
Zn 0.553 0.368 0.663
Zn 0.571 0.350 0.857
Zn 0.597 0.747 0.313
Zn 0.605 0.190 0.249
Zn 0.627 0.034 0.993
Zn 0.643 0.266 0.456
Zn 0.708 0.864 0.816
Zn 0.716 0.506 0.471
Zn 0.718 0.621 0.917
Zn 0.747 0.392 0.072
Zn 0.752 0.162 0.799
Zn 0.756 0.651 0.156
Zn 0.763 0.979 0.627
Zn 0.798 0.893 0.167
Zn 0.818 0.046 0.345
Zn 0.861 0.115 0.155
Zn 0.868 0.652 0.514
Zn 0.870 0.779 0.378
Zn 0.938 0.727 0.968
Zn 0.940 0.265 0.333
Zn 0.965 0.374 0.121
Zn 0.989 0.773 0.573
S 0.027 0.267 0.840
S 0.056 0.095 0.122
S 0.078 0.900 0.647
S 0.092 0.446 0.034
S 0.101 0.179 0.736
S 0.107 0.686 0.923
S 0.116 0.966 0.373
S 0.128 0.974 0.888
S 0.148 0.665 0.571
S 0.164 0.689 0.202
S 0.224 0.275 0.235
S 0.242 0.175 0.491
S 0.248 0.430 0.547
S 0.269 0.532 0.308
S 0.271 0.470 0.831
S 0.283 0.216 0.960
S 0.307 0.049 0.203
S 0.344 0.808 0.768
S 0.346 0.509 0.075
S 0.360 0.912 0.145
S 0.378 0.075 0.725
S 0.398 0.436 0.339
S 0.419 0.690 0.487
S 0.423 0.789 0.366
S 0.459 0.586 0.662
S 0.468 0.023 0.406
S 0.495 0.177 0.391
S 0.513 0.298 0.139
S 0.540 0.599 0.920
S 0.566 0.901 0.916
S 0.574 0.407 0.503
S 0.591 0.718 0.148
S 0.599 0.428 0.152
S 0.603 0.175 0.893
S 0.621 0.051 0.160
S 0.623 0.886 0.665
S 0.702 0.412 0.761
S 0.730 0.638 0.361
S 0.735 0.888 0.322
S 0.757 0.220 0.341
S 0.770 0.290 0.695
S 0.814 0.543 0.036
S 0.820 0.732 0.841
S 0.822 0.995 0.035
S 0.834 0.015 0.782
S 0.850 0.261 0.062
S 0.862 0.050 0.511
S 0.868 0.494 0.551
S 0.899 0.757 0.128
S 0.959 0.424 0.278

Energy of formation in eV per atom: -0.6582
Space-group type: P1
Size of the total moment in μB per formula unit: 0.00

Here is a relaxed structure of ZnS from Materials Project. Energies are from GGA-PBE.

Cell: 12.618 13.387 14.094 Å, 86.97 88.28 82.70°
Atoms (fractional coordinates):
Zn 0.000 0.000 0.000
Zn 0.001 0.896 0.163
Zn 0.024 0.609 0.810
Zn 0.028 0.835 0.549
Zn 0.079 0.193 0.375
Zn 0.123 0.631 0.078
Zn 0.124 0.568 0.484
Zn 0.125 0.162 0.672
Zn 0.126 0.826 0.796
Zn 0.169 0.017 0.893
Zn 0.181 0.914 0.048
Zn 0.200 0.762 0.340
Zn 0.231 0.320 0.454
Zn 0.255 0.203 0.238
Zn 0.270 0.001 0.412
Zn 0.283 0.486 0.068
Zn 0.292 0.642 0.734
Zn 0.314 0.143 0.860
Zn 0.321 0.675 0.024
Zn 0.354 0.185 0.617
Zn 0.376 0.006 0.978
Zn 0.376 0.833 0.711
Zn 0.392 0.685 0.461
Zn 0.475 0.517 0.260
Zn 0.504 0.148 0.451
Zn 0.517 0.781 0.133
Zn 0.527 0.098 0.219
Zn 0.530 0.115 0.990
Zn 0.538 0.398 0.433
Zn 0.588 0.788 0.600
Zn 0.607 0.975 0.102
Zn 0.623 0.572 0.018
Zn 0.658 0.317 0.042
Zn 0.692 0.152 0.785
Zn 0.702 0.794 0.275
Zn 0.705 0.477 0.798
Zn 0.725 0.511 0.399
Zn 0.730 0.049 0.234
Zn 0.771 0.935 0.452
Zn 0.773 0.341 0.704
Zn 0.788 0.224 0.345
Zn 0.791 0.896 0.714
Zn 0.808 0.669 0.561
Zn 0.859 0.531 0.166
Zn 0.863 0.140 0.597
Zn 0.932 0.471 0.967
Zn 0.937 0.721 0.323
Zn 0.948 0.069 0.831
Zn 0.949 0.389 0.516
Zn 0.985 0.086 0.168
S 0.022 0.486 0.103
S 0.082 0.737 0.216
S 0.109 0.697 0.692
S 0.111 0.995 0.740
S 0.114 0.416 0.558
S 0.128 0.067 0.268
S 0.154 0.333 0.308
S 0.171 0.871 0.462
S 0.209 0.141 0.517
S 0.215 0.382 0.968
S 0.252 0.249 0.739
S 0.265 0.599 0.389
S 0.267 0.154 0.083
S 0.303 0.770 0.845
S 0.329 0.260 0.989
S 0.359 0.850 0.059
S 0.376 0.486 0.779
S 0.381 0.839 0.361
S 0.393 0.107 0.331
S 0.396 0.387 0.192
S 0.415 0.307 0.498
S 0.435 0.692 0.617
S 0.442 0.522 0.900
S 0.449 0.930 0.596
S 0.485 0.617 0.120
S 0.507 0.068 0.614
S 0.513 0.861 0.273
S 0.525 0.278 0.155
S 0.534 0.571 0.398
S 0.576 0.606 0.862
S 0.606 0.242 0.911
S 0.676 0.373 0.326
S 0.680 0.094 0.397
S 0.689 0.816 0.099
S 0.690 0.220 0.634
S 0.694 0.786 0.459
S 0.733 0.742 0.702
S 0.759 0.451 0.054
S 0.778 0.001 0.836
S 0.795 0.494 0.549
S 0.800 0.624 0.287
S 0.824 0.182 0.183
S 0.850 0.900 0.288
S 0.882 0.959 0.579
S 0.920 0.232 0.457
S 0.942 0.473 0.811
S 0.947 0.213 0.719
S 0.975 0.692 0.483
S 0.985 0.840 0.908
S 0.995 0.690 0.960

Energy of formation in eV per atom: -0.6500
Space-group type: P1
Size of the total moment in μB per formula unit: 0.00

Here is a relaxed structure of ZnS from Materials Project. Energies are from GGA-PBE.

Cell: 56.390 56.390 56.390 Å, 3.94 3.94 3.94°
Atoms (fractional coordinates):
Zn 0.000 0.000 0.000
Zn 0.037 0.037 0.037
Zn 0.111 0.111 0.111
Zn 0.167 0.167 0.167
Zn 0.241 0.241 0.241
Zn 0.296 0.296 0.296
Zn 0.352 0.352 0.352
Zn 0.407 0.407 0.407
Zn 0.463 0.463 0.463
Zn 0.519 0.519 0.519
Zn 0.556 0.556 0.556
Zn 0.611 0.611 0.611
Zn 0.648 0.648 0.648
Zn 0.722 0.722 0.722
Zn 0.759 0.759 0.759
Zn 0.815 0.815 0.815
Zn 0.870 0.870 0.870
Zn 0.926 0.926 0.926
S 0.014 0.014 0.014
S 0.051 0.051 0.051
S 0.125 0.125 0.125
S 0.181 0.181 0.181
S 0.255 0.255 0.255
S 0.310 0.310 0.310
S 0.366 0.366 0.366
S 0.421 0.421 0.421
S 0.477 0.477 0.477
S 0.532 0.532 0.532
S 0.569 0.569 0.569
S 0.625 0.625 0.625
S 0.662 0.662 0.662
S 0.736 0.736 0.736
S 0.773 0.773 0.773
S 0.829 0.829 0.829
S 0.884 0.884 0.884
S 0.940 0.940 0.940

Energy of formation in eV per atom: -1.0509
Space-group type: R3m
Size of the total moment in μB per formula unit: 0.00

Here is a relaxed structure of ZnS from Materials Project. Energies are from GGA-PBE.

Cell: 3.853 3.853 113.267 Å, 90.00 90.00 120.00°
Atoms (fractional coordinates):
Zn 0.000 0.000 0.000
Zn 0.000 0.000 0.056
Zn 0.000 0.000 0.139
Zn 0.000 0.000 0.222
Zn 0.000 0.000 0.306
Zn 0.000 0.000 0.389
Zn 0.000 0.000 0.472
Zn 0.000 0.000 0.556
Zn 0.000 0.000 0.639
Zn 0.000 0.000 0.694
Zn 0.000 0.000 0.806
Zn 0.000 0.000 0.889
Zn 0.333 0.667 0.083
Zn 0.333 0.667 0.167
Zn 0.333 0.667 0.250
Zn 0.333 0.667 0.333
Zn 0.333 0.667 0.417
Zn 0.333 0.667 0.500
Zn 0.333 0.667 0.583
Zn 0.333 0.667 0.667
Zn 0.333 0.667 0.750
Zn 0.333 0.667 0.833
Zn 0.333 0.667 0.917
Zn 0.333 0.667 0.972
Zn 0.667 0.333 0.028
Zn 0.667 0.333 0.111
Zn 0.667 0.333 0.194
Zn 0.667 0.333 0.278
Zn 0.667 0.333 0.361
Zn 0.667 0.333 0.444
Zn 0.667 0.333 0.528
Zn 0.667 0.333 0.611
Zn 0.667 0.333 0.722
Zn 0.667 0.333 0.778
Zn 0.667 0.333 0.861
Zn 0.667 0.333 0.944
S 0.000 0.000 0.021
S 0.000 0.000 0.076
S 0.000 0.000 0.160
S 0.000 0.000 0.243
S 0.000 0.000 0.326
S 0.000 0.000 0.410
S 0.000 0.000 0.493
S 0.000 0.000 0.576
S 0.000 0.000 0.660
S 0.000 0.000 0.715
S 0.000 0.000 0.826
S 0.000 0.000 0.910
S 0.333 0.667 0.104
S 0.333 0.667 0.188
S 0.333 0.667 0.271
S 0.333 0.667 0.354
S 0.333 0.667 0.438
S 0.333 0.667 0.521
S 0.333 0.667 0.604
S 0.333 0.667 0.688
S 0.333 0.667 0.771
S 0.333 0.667 0.854
S 0.333 0.667 0.937
S 0.333 0.667 0.993
S 0.667 0.333 0.049
S 0.667 0.333 0.132
S 0.667 0.333 0.215
S 0.667 0.333 0.299
S 0.667 0.333 0.382
S 0.667 0.333 0.465
S 0.667 0.333 0.549
S 0.667 0.333 0.632
S 0.667 0.333 0.743
S 0.667 0.333 0.799
S 0.667 0.333 0.882
S 0.667 0.333 0.965

Energy of formation in eV per atom: -1.0625
Space-group type: P3m1
Size of the total moment in μB per formula unit: 0.00